[1]
PBE-GGA NaMgZr3P3S3O24, optimized geometry; uncorrected energy = -7.35 eV/atom; crystal system = triclinic; E_form = -2.79 eV/atom; ρ = 2.81 g cm⁻³; E (MP2020) = -0.5748 Ry per atom; V = 15.07 Å³ per atom
1.0
-0.9103 -6.4366 -6.0587
-3.9526 -0.7451 7.9317
-18.8099 10.5841 -8.3871
O S Na Mg Zr P
72 9 3 3 9 9
Cartesian
-6.5927 -3.0656 -4.7230
-21.0723 7.7576 -0.9495
-5.4197 -4.5200 -2.4191
-7.7591 0.1926 4.9843
-4.4503 -1.9596 -1.2149
-8.6459 3.0083 -2.8881
-5.9629 1.8493 -3.5905
-2.6371 -0.4726 -0.5894
-18.0792 3.9117 -2.8851
-10.9402 3.5250 2.9828
-4.1116 -0.5623 3.6043
-14.1851 0.8352 -7.7666
-12.8521 4.8880 -1.7379
-14.5965 3.1454 -0.0811
-15.9328 3.1868 -11.4548
-9.8177 1.0719 -3.6855
-16.3792 6.6294 0.4851
-17.1325 6.4963 -1.7758
-14.5740 2.2770 -5.1822
-11.9784 -0.0407 -7.1832
-12.7209 -0.1393 -9.4416
-9.5481 -2.6509 -1.1991
-12.6680 0.8786 -0.4963
-3.6812 -2.6865 -3.9989
-21.0242 3.8156 -5.9033
-18.3741 6.4727 -9.6417
-19.5522 3.9477 -10.1102
-17.7004 1.5585 -2.9170
-8.0407 -1.2277 0.0955
-15.0964 0.3674 -3.6166
-9.1401 0.2673 -6.3520
-10.8894 2.6387 -2.1648
-20.2208 8.9282 -5.4143
-21.4757 6.2890 -5.9044
-13.7651 2.3184 -2.7827
-11.0232 2.5651 -6.0239
-6.8120 1.3389 0.5730
-7.3203 -2.2610 -2.0007
-16.3809 5.7052 -4.5253
-16.8406 2.0341 -7.1193
-5.6497 -0.5330 -3.6012
-7.2959 -3.2322 -7.0117
-10.7133 -0.0930 0.8196
-15.6339 4.5951 -6.6818
-3.4756 -5.5189 -1.1006
-15.9679 7.0808 -6.5789
-4.5743 1.7893 -0.1713
-18.2891 7.9336 -4.0962
-19.9387 5.2789 -7.6422
-12.2489 -1.5876 -0.5082
-15.2192 3.2645 -9.1563
-14.0375 6.0860 -5.3322
-3.7220 -1.8412 1.0633
-12.7257 0.7369 -4.4050
-8.4225 0.0946 2.6832
-2.2366 -2.8221 -0.5952
-5.8240 -5.9024 -0.3496
-9.1024 1.1396 -1.3996
-11.7182 3.4604 0.5868
-7.6804 -3.6004 0.0159
-19.9860 6.1255 -2.5290
-2.6162 -4.3479 -5.5870
-1.8130 -4.2414 -3.2197
-11.4170 4.9260 -5.9999
-5.3041 -3.0814 3.1035
-19.1985 5.3909 -5.2622
-10.7608 -1.4347 -4.7645
-21.8662 7.6525 -3.2875
-17.8763 9.3068 -6.1672
-12.8929 3.4915 -7.3058
-19.0747 1.6577 -6.3318
-9.4087 2.5512 1.2111
-5.8738 2.4174 0.2279
-11.5415 3.7008 -6.8390
-3.2835 -1.7994 -0.3636
-14.7745 3.3530 -10.5461
-8.1187 -2.4065 -0.7766
-17.8014 1.0032 -6.7218
-9.6115 1.9540 -2.4810
-4.9737 0.7466 -3.8676
-13.2110 -0.1957 -8.0318
-17.5482 4.2995 -8.3322
-6.1203 -0.8499 1.8981
-8.1242 -1.0693 -4.2052
-8.9067 0.7178 0.6843
-14.8386 2.7719 -7.0552
-5.3635 -2.6354 -2.9851
-20.3847 5.7860 -9.6508
-13.0476 0.3914 -11.4585
-18.1780 5.9484 -3.5944
-11.5414 -3.3638 -1.1358
-7.5174 -5.6389 0.6740
-3.3283 -2.4489 3.1534
-12.7756 2.8068 -1.0804
-16.1611 9.0259 -7.1948
-10.9914 0.4757 -5.3959
-21.3083 6.8012 -2.1292
-14.0713 1.4586 -4.0379
-18.7802 9.1285 -4.9418
-20.4315 5.1981 -6.1838
-4.9322 -5.6915 -1.6160
-2.4066 -3.3877 -4.3733
-12.1278 -0.3025 0.3665
-10.4723 3.5693 1.4971
-15.5038 5.8188 -5.8005


[2]
PBE-GGA Ga2O3, optimized geometry; uncorrected energy = -5.86 eV/atom; crystal system = triclinic; E_form = -2.09 eV/atom; ρ = 4.73 g cm⁻³; E (MP2020) = -0.4612 Ry per atom; V = 13.17 Å³ per atom
1.0
10.2485 0.0728 0.3495
0.0767 10.2372 0.0410
0.3463 0.0399 10.0570
Ga O
32 48
Cartesian
0.9775 6.6378 4.1851
6.6183 6.4611 3.9857
8.1692 1.7219 6.0827
8.9144 0.9894 2.9693
8.5798 6.1707 6.2671
6.7653 8.8198 5.6354
6.8699 3.4086 3.7712
4.0206 1.7607 3.4622
9.5717 9.1825 7.0031
10.0595 7.9583 1.6718
10.4168 1.5516 8.1525
2.6293 8.2489 0.4831
5.6791 3.6265 1.0685
3.8884 1.3572 6.7875
3.7070 5.8169 3.1460
6.4189 9.7194 2.4733
1.6040 3.7460 1.9369
3.5312 3.5748 8.9589
1.8406 9.5106 5.3945
0.5332 4.1058 6.7480
6.6689 3.8153 8.0036
4.8732 0.7173 10.1447
1.1570 5.4873 9.3945
5.6127 6.4811 8.0983
8.4455 10.2645 10.1819
5.6069 6.7828 1.1523
3.8900 8.7677 3.4455
8.5831 7.0138 9.3928
4.3569 9.0060 7.7966
8.7507 3.2785 0.5211
8.8376 5.2096 2.6694
1.6854 0.4618 2.1878
2.9199 10.1492 0.4584
9.8547 2.6087 6.6173
1.1557 7.0943 0.1353
6.7312 2.6160 6.6805
8.1023 10.0353 6.0795
10.3836 3.0564 9.2005
2.0746 4.3211 0.1838
9.8967 6.7168 3.0713
7.8580 1.9233 4.2368
4.0535 7.7256 1.8104
5.3878 2.8990 2.8166
2.7216 2.4439 7.7211
9.5262 5.5785 10.1122
7.3240 3.4244 9.6857
6.7132 7.0062 9.5558
7.3018 5.4949 7.4235
7.5133 3.9920 1.9635
2.8021 7.3218 4.1277
4.6838 0.2904 2.4273
4.7691 2.5924 10.1006
5.6856 7.9939 6.9310
6.2854 9.9696 0.5290
4.9541 4.7045 8.2694
2.7179 10.1560 3.8740
8.1587 9.5854 2.8738
3.4107 9.7377 6.4008
8.6678 1.4164 1.1237
10.2330 5.4531 5.7478
0.4897 8.2529 5.2066
8.9210 0.3985 8.4359
5.7032 8.6869 4.0584
10.0149 3.8450 2.0696
2.0300 5.0444 3.2116
9.0514 7.5203 7.6577
0.3062 1.0505 3.2484
5.0741 5.6061 4.3230
1.2154 8.9470 1.8115
4.9258 0.4639 8.2001
7.7844 7.3759 5.1239
7.0966 6.8558 2.2396
2.5715 2.1999 2.3019
4.0341 7.6629 8.9906
4.3734 2.0242 5.1986
7.8297 4.9200 4.3620
4.6722 5.2048 1.4165
1.6596 5.1738 7.6521
8.8293 8.4684 0.3622
0.8325 10.2620 6.8020


[3]
PBE-GGA Ba11Cd8Bi14, optimized geometry; uncorrected energy = -3.12 eV/atom; crystal system = monoclinic; E_form = -0.60 eV/atom; ρ = 7.12 g cm⁻³; distance to the lowest polymorph of the same formula = 152 kJ/mol of formula units; V = 37.70 Å³ per atom
1.0
7.8346 -12.1101 2.3099
10.7813 -8.7288 4.5763
-8.1153 -2.9103 14.8932
Bi Ba Cd
14 11 8
Cartesian
2.7079 -12.5195 15.1573
-3.2567 -4.7439 11.3118
13.7573 -19.0053 10.4676
6.4569 -13.0153 11.0227
9.1894 -16.7583 13.0543
7.7926 -11.2297 6.6220
3.8322 -5.6959 3.5153
16.7590 -18.9121 6.4257
6.6684 -18.0532 18.2640
0.6573 -3.8696 4.9186
9.8433 -19.8795 16.8607
-6.2584 -4.8371 15.3536
4.0437 -10.7339 10.7566
1.3112 -6.9909 8.7251
11.3844 -13.9359 5.9896
4.6926 -15.3312 16.7719
-1.0916 -4.3631 7.9286
11.4880 -16.4366 9.5856
11.5922 -19.3861 13.8507
9.3079 -10.4194 3.4431
15.4717 -21.7127 12.2777
-0.8838 -9.8133 15.7898
-4.9711 -2.0365 9.5016
-0.9875 -7.3126 12.1937
5.8080 -8.4179 5.0075
3.7714 -8.8789 8.3432
8.5065 -13.2961 8.7769
6.7292 -14.8702 13.4362
-4.0132 -7.0135 15.6816
10.6573 -22.0370 19.0212
-0.1567 -1.7121 2.7581
14.5138 -16.7356 6.0977
1.9941 -10.4530 13.0025


[4]
PBE-GGA S8O, optimized geometry; uncorrected energy = -4.35 eV/atom; crystal system = orthorhombic; E_form = -0.20 eV/atom; ρ = 1.71 g cm⁻³; E (MP2020) = -0.3251 Ry per atom; V = 29.39 Å³ per atom
1.0
-2.1889 5.8507 -5.8128
-5.9516 -5.4767 -3.2712
-9.7314 5.2377 8.9363
S O
32 4
Cartesian
-10.2673 -0.7040 -1.3511
-9.6066 1.3191 -6.7290
-12.4115 8.7635 1.3035
-9.5274 4.5464 0.1466
-12.8014 4.6334 -2.7067
-10.5915 2.1521 5.3027
-5.8639 -3.5231 -1.6731
-7.6164 2.3169 -1.4711
-7.2317 0.8915 3.4398
-6.2210 3.5361 -2.7557
-5.4740 0.6070 2.3372
-12.3394 4.5544 3.3759
-12.6873 6.1283 4.5617
-4.4918 3.9546 -6.6735
-6.4350 -1.6672 -5.3967
-8.9291 -0.9206 0.1936
-8.8175 0.5936 -4.7396
-2.7444 0.0906 -1.1175
-9.0153 6.4656 -0.3812
-12.5811 -1.1171 2.7615
-4.0486 0.2889 -2.6935
-7.7793 3.3963 0.2060
-13.1367 0.6436 -0.2602
-14.6119 0.5237 5.8488
-10.2498 3.9181 3.9348
-8.4137 -1.5940 -5.1072
-15.2001 5.4544 0.9299
-12.8464 0.9756 1.9509
-15.7461 3.5535 1.4889
-11.3431 1.0648 -1.0410
-11.8720 3.5868 -4.2646
-7.6170 4.5883 -4.1878
-7.4902 1.2360 -4.5727
-5.6703 4.5965 -1.8756
-11.5261 1.6368 2.0991
-9.7062 4.9973 4.7962


[5]
PBE-GGA RbSnF3, optimized geometry; uncorrected energy = -4.65 eV/atom; crystal system = monoclinic; E_form = -2.78 eV/atom; ρ = 3.91 g cm⁻³; E (MP2020) = -0.3624 Ry per atom; V = 22.20 Å³ per atom
1.0
-13.1631 -0.2543 4.5330
2.7384 -0.9334 7.8995
0.9714 14.8345 3.6529
Sn Rb F
16 16 48
Cartesian
-2.8276 -0.1404 3.3864
-3.8602 8.5660 11.1430
1.1747 12.6194 4.6054
-10.6280 1.0274 11.4800
-1.2609 -0.7406 7.1900
-5.5931 5.0808 4.9424
-6.6257 13.7873 12.6991
-8.8014 6.9678 7.1114
-7.6730 6.3592 11.0660
-4.4034 4.6639 8.9880
-0.6519 6.6790 8.9740
-10.4206 11.9555 13.0538
-1.7803 7.2876 5.0194
0.9673 1.6913 3.0316
-5.0499 8.9829 7.0975
-8.1925 14.3874 8.8954
-5.6649 12.6995 6.0730
-1.0085 10.6950 7.7100
-3.8902 12.2438 9.8022
-8.4448 2.9518 8.3754
-0.1216 2.7276 9.8458
-0.0340 10.1372 11.8094
-12.4705 5.1602 6.4229
-11.0598 8.7046 10.1699
-9.4193 3.5097 4.2760
-7.5565 10.3768 10.0632
1.6064 4.9422 5.9156
-5.5631 1.4030 6.2832
3.0171 8.4866 9.6625
-3.7884 0.9473 10.0124
-1.8968 3.2700 6.0222
-9.3317 10.9192 6.2396
-4.7652 3.2903 4.1897
0.6898 2.2945 7.0859
-1.9328 12.9901 5.8845
0.1530 7.1473 4.2493
-4.3760 4.3623 6.7427
0.8573 5.2681 8.7214
-10.8026 1.7660 9.3206
0.5389 7.4153 10.6666
-2.3567 9.6435 10.1287
1.3124 10.9920 9.4441
-5.1376 9.8263 4.9670
-7.5205 0.6567 10.2009
-5.6138 2.9604 8.8632
-9.6064 6.4995 11.8361
-4.3157 3.8205 11.1184
-1.5846 12.6288 11.5560
-5.6057 -0.8311 8.4647
-4.6881 10.3565 11.8957
-6.6552 12.9860 9.1064
0.3802 8.1300 7.8782
-7.8687 1.0180 4.5294
-8.3971 7.7215 9.5095
-3.8477 14.4779 7.6207
1.3493 11.8808 6.7648
-9.9922 6.2315 5.4188
-5.0773 9.2845 9.3427
-2.3720 5.5738 4.0420
-7.0814 8.0730 12.0434
-10.1431 11.3523 8.9995
-8.2712 13.6727 6.8198
-1.1821 -0.0258 9.2656
-0.3041 2.5118 1.3088
-8.0321 0.3207 7.3902
-9.4856 10.2934 12.1903
0.1213 10.7925 4.5006
-2.7981 0.6608 6.9790
-6.7862 10.1395 7.2646
-10.7657 2.6548 6.6414
-1.4212 13.3261 8.6953
-9.5746 2.8543 11.5848
-9.1492 11.1350 14.7766
-1.0563 5.9253 6.5759
0.0323 3.3534 3.8951
-9.8335 5.5168 8.2072
-2.6671 3.5073 8.8208
-7.0966 4.0033 5.9567
-10.3106 8.3787 7.3640
-3.8395 10.6865 7.2222


[6]
PBE-GGA LiHfMg14, optimized geometry; uncorrected energy = -2.09 eV/atom; crystal system = orthorhombic; E_form = 0.05 eV/atom; ρ = 2.42 g cm⁻³; distance to the lowest polymorph of the same formula = 20 kJ/mol of formula units; V = 22.51 Å³ per atom
1.0
6.3848 -0.0089 0.0000
-3.2001 5.5427 0.0000
0.0000 0.0000 10.1849
Mg Hf Li
14 1 1
Cartesian
1.5855 4.5729 1.2731
-0.0239 3.6953 8.9388
1.5882 0.9030 8.9388
-0.0035 1.8455 6.3656
3.1915 1.8420 6.3656
3.2100 3.7009 3.8062
4.7953 0.9210 8.9436
4.7953 0.9210 3.7875
-1.6031 4.6172 6.3656
3.2100 3.7009 8.9249
-0.0239 3.6953 3.7923
3.1529 1.8580 1.2731
1.5882 0.9030 3.7923
1.5909 4.6143 6.3656
-1.5976 4.6204 1.2731
0.0215 1.8600 1.2731


[7]
PBE-GGA AgAu3, optimized geometry; uncorrected energy = -3.20 eV/atom; crystal system = hexagonal; E_form = -0.03 eV/atom; ρ = 16.05 g cm⁻³; distance to the lowest polymorph of the same formula = 3 kJ/mol of formula units; V = 18.07 Å³ per atom
1.0
-3.7617 4.3699 -1.0615
1.4106 -3.7569 -4.2742
-3.6975 -2.8672 1.2999
Ag Au
2 6
Cartesian
-3.0866 -3.1984 -2.2284
-2.9620 0.9442 -1.8074
-4.9670 -1.0117 -2.7540
-2.2534 -0.9369 -3.9411
-0.3786 -3.1149 -3.4121
-1.0816 -1.2425 -1.2818
-5.6700 0.8607 -0.6237
-3.7952 -1.3172 -0.0947


[8]
PBE-GGA MgTi6H4O14, optimized geometry; uncorrected energy = -7.69 eV/atom; crystal system = triclinic; E_form = -2.81 eV/atom; ρ = 3.22 g cm⁻³; distance to the lowest polymorph of the same formula = 87 kJ/mol of formula units; E (MP2020) = -0.5938 Ry per atom; V = 11.13 Å³ per atom
1.0
-4.0208 3.1992 5.5441
1.4137 -6.1036 -5.4662
5.7849 -5.0729 5.5859
O H Mg Ti
14 4 1 6
Cartesian
0.1770 -1.0881 0.7015
2.3022 -3.5028 9.0004
2.9174 -6.4084 -2.2183
0.8501 -2.2740 5.3190
0.3282 -1.6522 7.8758
4.3839 -7.6335 1.3597
2.7454 -6.9605 4.7042
2.2365 -3.0470 1.1120
2.2633 -5.7257 0.2233
-1.3326 -0.3677 3.9737
0.9799 -5.0438 4.4116
3.0602 -4.2793 6.3518
1.0246 -4.7226 -3.4346
0.0647 -3.8062 -0.5225
-1.7845 -3.2718 0.9255
2.8271 -7.0857 -2.9209
1.5484 -1.7806 10.4553
2.2906 -7.0742 3.8090
-1.3711 -0.3836 1.8119
-2.6579 0.8353 5.1103
5.7254 -8.8972 0.4902
1.3574 -4.9942 -1.5067
3.7615 -7.0664 -0.5962
-0.4557 -1.0470 6.3984
1.7301 -3.0332 7.4276